1.
{
  "formula": "Li5Mn12O24",
  "functional": "PBE with a Hubbard U",
  "state": "relaxed",
  "delta_e_f_ev_per_atom": -2.010,
  "space_group": "No. 1",
  "density_g_cm3": 4.00,
  "e_tot_ev_per_atom": -6.93,
  "lattice_angstrom": [[5.837, 0.000, 0.000], [2.917, 5.267, 0.000], [0.011, 2.227, 43.617]],
  "species": ["Li", "Li", "Li", "Li", "Li", "Li", "Li", "Li", "Li", "Li", "Li", "Li", "Li", "Li", "Li", "Mn", "Mn", "Mn", "Mn", "Mn", "Mn", "Mn", "Mn", "Mn", "Mn", "Mn", "Mn", "Mn", "Mn", "Mn", "Mn", "Mn", "Mn", "Mn", "Mn", "Mn", "Mn", "Mn", "Mn", "Mn", "Mn", "Mn", "Mn", "Mn", "Mn", "Mn", "Mn", "Mn", "Mn", "Mn", "Mn", "O", "O", "O", "O", "O", "O", "O", "O", "O", "O", "O", "O", "O", "O", "O", "O", "O", "O", "O", "O", "O", "O", "O", "O", "O", "O", "O", "O", "O", "O", "O", "O", "O", "O", "O", "O", "O", "O", "O", "O", "O", "O", "O", "O", "O", "O", "O", "O", "O", "O", "O", "O", "O", "O", "O", "O", "O", "O", "O", "O", "O", "O", "O", "O", "O", "O", "O", "O", "O", "O", "O", "O"],
  "fractional_positions": [[0.000, 0.000, 0.000], [0.000, 0.001, 0.667], [0.315, 0.371, 0.699], [0.317, 0.365, 0.031], [0.317, 0.367, 0.449], [0.330, 0.338, 0.363], [0.330, 0.340, 0.112], [0.650, 0.700, 0.142], [0.651, 0.700, 0.559], [0.653, 0.696, 0.892], [0.660, 0.683, 0.225], [0.662, 0.675, 0.807], [0.667, 0.668, 0.474], [0.983, 0.034, 0.337], [0.995, 0.013, 0.252], [0.153, 0.190, 0.183], [0.156, 0.688, 0.516], [0.157, 0.686, 0.183], [0.157, 0.686, 0.850], [0.158, 0.185, 0.517], [0.158, 0.186, 0.850], [0.315, 0.372, 0.572], [0.317, 0.367, 0.905], [0.320, 0.861, 0.739], [0.323, 0.854, 0.405], [0.324, 0.852, 0.072], [0.333, 0.337, 0.239], [0.490, 0.521, 0.294], [0.491, 0.019, 0.295], [0.492, 0.016, 0.626], [0.492, 0.016, 0.959], [0.495, 0.511, 0.960], [0.496, 0.511, 0.627], [0.657, 0.685, 0.350], [0.657, 0.686, 0.683], [0.658, 0.185, 0.517], [0.658, 0.186, 0.850], [0.658, 0.190, 0.183], [0.658, 0.684, 0.016], [0.819, 0.861, 0.739], [0.822, 0.356, 0.739], [0.823, 0.854, 0.405], [0.824, 0.352, 0.405], [0.824, 0.353, 0.072], [0.824, 0.852, 0.072], [0.990, 0.021, 0.461], [0.990, 0.521, 0.294], [0.991, 0.016, 0.127], [0.994, 0.511, 0.627], [0.994, 0.511, 0.960], [0.998, 0.005, 0.794], [0.001, 0.999, 0.538], [0.002, 0.997, 0.047], [0.017, 0.526, 0.544], [0.020, 0.520, 0.877], [0.033, 0.488, 0.209], [0.127, 0.188, 0.433], [0.132, 0.736, 0.433], [0.134, 0.731, 0.765], [0.145, 0.151, 0.764], [0.148, 0.153, 0.097], [0.148, 0.704, 0.096], [0.169, 0.221, 0.935], [0.169, 0.222, 0.602], [0.179, 0.643, 0.601], [0.180, 0.641, 0.934], [0.183, 0.637, 0.266], [0.190, 0.182, 0.267], [0.283, 0.886, 0.158], [0.295, 0.852, 0.488], [0.295, 0.852, 0.822], [0.316, 0.368, 0.828], [0.316, 0.368, 0.985], [0.318, 0.365, 0.495], [0.318, 0.365, 0.652], [0.331, 0.337, 0.316], [0.334, 0.333, 0.159], [0.352, 0.854, 0.322], [0.367, 0.815, 0.652], [0.367, 0.815, 0.985], [0.458, 0.526, 0.544], [0.462, 0.077, 0.546], [0.463, 0.518, 0.877], [0.464, 0.074, 0.879], [0.475, 0.052, 0.209], [0.482, 0.488, 0.209], [0.496, 0.557, 0.714], [0.498, 0.004, 0.714], [0.499, 0.552, 0.047], [0.500, 0.000, 0.047], [0.515, 0.969, 0.378], [0.520, 0.518, 0.377], [0.610, 0.223, 0.602], [0.611, 0.221, 0.935], [0.631, 0.181, 0.267], [0.646, 0.708, 0.096], [0.646, 0.708, 0.762], [0.650, 0.702, 0.272], [0.666, 0.669, 0.428], [0.668, 0.664, 0.604], [0.669, 0.662, 0.936], [0.686, 0.188, 0.433], [0.699, 0.152, 0.097], [0.704, 0.151, 0.764], [0.794, 0.854, 0.322], [0.798, 0.403, 0.322], [0.817, 0.366, 0.985], [0.817, 0.367, 0.652], [0.818, 0.815, 0.652], [0.818, 0.815, 0.985], [0.830, 0.886, 0.158], [0.832, 0.336, 0.158], [0.851, 0.298, 0.820], [0.851, 0.301, 0.489], [0.851, 0.854, 0.822], [0.853, 0.853, 0.488], [0.948, 0.557, 0.714], [0.949, 0.553, 0.047], [0.961, 0.518, 0.377], [0.979, 0.043, 0.207], [0.981, 0.037, 0.383], [0.998, 0.004, 0.871], [0.998, 0.005, 0.714]]
}

***

2.
{
  "formula": "Li4Mn3O7",
  "functional": "PBE with a Hubbard U",
  "state": "relaxed",
  "delta_e_f_ev_per_atom": -2.122,
  "space_group": "No. 2",
  "density_g_cm3": 3.91,
  "e_tot_ev_per_atom": -6.40,
  "lattice_angstrom": [[2.999, 0.000, 0.000], [1.477, 6.303, 0.000], [0.376, 1.259, 13.666]],
  "species": ["Li", "Li", "Li", "Li", "Li", "Li", "Li", "Li", "Mn", "Mn", "Mn", "Mn", "Mn", "Mn", "O", "O", "O", "O", "O", "O", "O", "O", "O", "O", "O", "O", "O", "O"],
  "fractional_positions": [[0.000, 0.000, 0.000], [0.000, 0.500, 0.500], [0.123, 0.431, 0.295], [0.278, 0.840, 0.575], [0.420, 0.289, 0.859], [0.580, 0.711, 0.141], [0.722, 0.160, 0.425], [0.877, 0.569, 0.705], [0.158, 0.927, 0.782], [0.283, 0.355, 0.072], [0.424, 0.776, 0.363], [0.576, 0.224, 0.637], [0.717, 0.645, 0.928], [0.842, 0.073, 0.218], [0.049, 0.234, 0.737], [0.111, 0.182, 0.550], [0.116, 0.665, 0.036], [0.254, 0.093, 0.321], [0.313, 0.620, 0.824], [0.431, 0.513, 0.612], [0.450, 0.046, 0.110], [0.550, 0.954, 0.890], [0.569, 0.487, 0.388], [0.687, 0.380, 0.176], [0.746, 0.907, 0.679], [0.884, 0.335, 0.964], [0.889, 0.818, 0.450], [0.951, 0.766, 0.263]]
}

***

3.
{
  "formula": "Li4Mn3O7",
  "functional": "PBE with a Hubbard U",
  "state": "relaxed",
  "delta_e_f_ev_per_atom": -2.135,
  "space_group": "No. 2",
  "density_g_cm3": 3.88,
  "e_tot_ev_per_atom": -6.42,
  "lattice_angstrom": [[6.509, 0.000, 0.000], [2.000, 6.228, 0.000], [2.195, 1.328, 6.432]],
  "species": ["Li", "Li", "Li", "Li", "Li", "Li", "Li", "Li", "Mn", "Mn", "Mn", "Mn", "Mn", "Mn", "O", "O", "O", "O", "O", "O", "O", "O", "O", "O", "O", "O", "O", "O"],
  "fractional_positions": [[0.000, 0.000, 0.000], [0.065, 0.791, 0.651], [0.202, 0.356, 0.926], [0.355, 0.926, 0.222], [0.500, 0.500, 0.500], [0.645, 0.074, 0.778], [0.798, 0.644, 0.074], [0.935, 0.209, 0.349], [0.140, 0.579, 0.278], [0.284, 0.139, 0.580], [0.421, 0.714, 0.854], [0.579, 0.286, 0.146], [0.716, 0.861, 0.420], [0.860, 0.421, 0.722], [0.022, 0.879, 0.332], [0.125, 0.675, 0.955], [0.174, 0.437, 0.620], [0.260, 0.256, 0.279], [0.324, 0.029, 0.860], [0.401, 0.842, 0.523], [0.451, 0.597, 0.186], [0.549, 0.403, 0.814], [0.599, 0.158, 0.477], [0.676, 0.971, 0.140], [0.740, 0.744, 0.721], [0.826, 0.563, 0.380], [0.875, 0.325, 0.045], [0.978, 0.121, 0.668]]
}

***

4.
{
  "formula": "Li3MnO3",
  "functional": "PBE with a Hubbard U",
  "state": "relaxed",
  "delta_e_f_ev_per_atom": -2.047,
  "space_group": "No. 150",
  "density_g_cm3": 3.14,
  "e_tot_ev_per_atom": -5.76,
  "lattice_angstrom": [[9.626, 0.000, 0.000], [-4.813, 8.336, 0.000], [0.000, 0.000, 9.794]],
  "species": ["Li", "Li", "Li", "Li", "Li", "Li", "Li", "Li", "Li", "Li", "Li", "Li", "Li", "Li", "Li", "Li", "Li", "Li", "Li", "Li", "Li", "Li", "Li", "Li", "Li", "Li", "Li", "Li", "Li", "Li", "Li", "Li", "Li", "Li", "Li", "Li", "Mn", "Mn", "Mn", "Mn", "Mn", "Mn", "Mn", "Mn", "Mn", "Mn", "Mn", "Mn", "O", "O", "O", "O", "O", "O", "O", "O", "O", "O", "O", "O", "O", "O", "O", "O", "O", "O", "O", "O", "O", "O", "O", "O", "O", "O", "O", "O", "O", "O", "O", "O", "O", "O", "O", "O"],
  "fractional_positions": [[0.083, 0.898, 0.173], [0.085, 0.519, 0.670], [0.102, 0.185, 0.173], [0.103, 0.249, 0.670], [0.145, 0.571, 0.173], [0.146, 0.897, 0.670], [0.185, 0.102, 0.827], [0.195, 0.417, 0.327], [0.222, 0.805, 0.327], [0.230, 0.750, 0.827], [0.249, 0.103, 0.330], [0.250, 0.480, 0.827], [0.417, 0.195, 0.673], [0.427, 0.855, 0.173], [0.429, 0.573, 0.173], [0.434, 0.915, 0.670], [0.480, 0.250, 0.173], [0.481, 0.566, 0.670], [0.519, 0.085, 0.330], [0.520, 0.770, 0.827], [0.566, 0.481, 0.330], [0.571, 0.145, 0.827], [0.573, 0.429, 0.827], [0.583, 0.778, 0.327], [0.750, 0.230, 0.173], [0.751, 0.854, 0.670], [0.770, 0.520, 0.173], [0.778, 0.583, 0.673], [0.805, 0.222, 0.673], [0.815, 0.917, 0.173], [0.854, 0.751, 0.330], [0.855, 0.427, 0.827], [0.897, 0.146, 0.330], [0.898, 0.083, 0.827], [0.915, 0.434, 0.330], [0.917, 0.815, 0.827], [0.000, 0.000, 0.500], [0.000, 0.334, 0.000], [0.000, 0.666, 0.500], [0.000, 0.669, 0.000], [0.331, 0.331, 0.000], [0.333, 0.667, 0.500], [0.334, 0.000, 0.000], [0.334, 0.334, 0.500], [0.666, 0.000, 0.500], [0.666, 0.666, 0.000], [0.667, 0.333, 0.500], [0.669, 0.000, 0.000], [0.081, 0.528, 0.880], [0.082, 0.889, 0.380], [0.111, 0.193, 0.380], [0.118, 0.252, 0.880], [0.134, 0.882, 0.880], [0.141, 0.579, 0.380], [0.190, 0.778, 0.121], [0.193, 0.111, 0.620], [0.220, 0.746, 0.620], [0.222, 0.412, 0.121], [0.252, 0.118, 0.120], [0.254, 0.474, 0.620], [0.412, 0.222, 0.879], [0.421, 0.561, 0.380], [0.439, 0.859, 0.380], [0.447, 0.919, 0.880], [0.472, 0.553, 0.880], [0.474, 0.254, 0.380], [0.526, 0.780, 0.620], [0.528, 0.081, 0.120], [0.553, 0.472, 0.120], [0.561, 0.421, 0.620], [0.579, 0.141, 0.620], [0.588, 0.810, 0.121], [0.746, 0.220, 0.380], [0.748, 0.866, 0.880], [0.778, 0.190, 0.879], [0.780, 0.526, 0.380], [0.807, 0.918, 0.380], [0.810, 0.588, 0.879], [0.859, 0.439, 0.620], [0.866, 0.748, 0.120], [0.882, 0.134, 0.120], [0.889, 0.082, 0.620], [0.918, 0.807, 0.620], [0.919, 0.447, 0.120]]
}

***

5.
{
  "formula": "Li4Mn3O7",
  "functional": "PBE with a Hubbard U",
  "state": "relaxed",
  "delta_e_f_ev_per_atom": -2.140,
  "space_group": "No. 2",
  "density_g_cm3": 3.89,
  "e_tot_ev_per_atom": -6.42,
  "lattice_angstrom": [[5.099, 0.000, 0.000], [1.723, 5.570, 0.000], [1.451, -0.438, 9.165]],
  "species": ["Li", "Li", "Li", "Li", "Li", "Li", "Li", "Li", "Mn", "Mn", "Mn", "Mn", "Mn", "Mn", "O", "O", "O", "O", "O", "O", "O", "O", "O", "O", "O", "O", "O", "O"],
  "fractional_positions": [[0.000, 0.000, 0.000], [0.000, 0.500, 0.000], [0.139, 0.213, 0.720], [0.275, 0.929, 0.413], [0.416, 0.644, 0.131], [0.584, 0.356, 0.869], [0.725, 0.071, 0.587], [0.861, 0.787, 0.280], [0.149, 0.714, 0.727], [0.282, 0.428, 0.426], [0.425, 0.144, 0.133], [0.575, 0.856, 0.867], [0.718, 0.572, 0.574], [0.851, 0.286, 0.273], [0.005, 0.268, 0.504], [0.134, 0.445, 0.205], [0.139, 0.990, 0.215], [0.311, 0.693, 0.926], [0.316, 0.161, 0.941], [0.435, 0.414, 0.643], [0.447, 0.878, 0.668], [0.553, 0.122, 0.332], [0.565, 0.586, 0.357], [0.684, 0.839, 0.059], [0.689, 0.307, 0.074], [0.861, 0.010, 0.785], [0.866, 0.555, 0.795], [0.995, 0.732, 0.496]]
}

***

6.
{
  "formula": "Li2MnO2",
  "functional": "PBE with a Hubbard U",
  "state": "relaxed",
  "delta_e_f_ev_per_atom": -1.975,
  "density_g_cm3": 3.00,
  "e_tot_ev_per_atom": -5.94,
  "lattice_angstrom": [[-2.321, 0.283, 1.972], [-2.398, -5.002, 0.268], [7.254, -2.934, 11.331]],
  "species": ["Li", "Li", "Li", "Li", "Li", "Li", "Li", "Li", "Mn", "Mn", "Mn", "Mn", "O", "O", "O", "O", "O", "O", "O", "O"],
  "fractional_positions": [[0.667, 0.610, 0.056], [0.417, 0.860, 0.306], [0.167, 0.110, 0.556], [0.917, 0.360, 0.806], [0.333, 0.390, 0.944], [0.083, 0.640, 0.194], [0.833, 0.890, 0.444], [0.583, 0.140, 0.694], [0.377, 0.623, 0.623], [0.123, 0.877, 0.877], [0.877, 0.123, 0.123], [0.623, 0.377, 0.377], [0.485, 0.869, 0.162], [0.235, 0.119, 0.411], [0.985, 0.369, 0.662], [0.735, 0.619, 0.911], [0.515, 0.131, 0.838], [0.265, 0.381, 0.089], [0.015, 0.631, 0.338], [0.765, 0.881, 0.588]]
}

***

7.
{
  "formula": "Li4Mn3O7",
  "functional": "PBE with a Hubbard U",
  "state": "relaxed",
  "delta_e_f_ev_per_atom": -2.124,
  "space_group": "No. 2",
  "density_g_cm3": 3.89,
  "e_tot_ev_per_atom": -6.41,
  "lattice_angstrom": [[3.000, 0.000, 0.000], [1.155, 4.971, 0.000], [0.802, 1.314, 17.440]],
  "species": ["Li", "Li", "Li", "Li", "Li", "Li", "Li", "Li", "Mn", "Mn", "Mn", "Mn", "Mn", "Mn", "O", "O", "O", "O", "O", "O", "O", "O", "O", "O", "O", "O", "O", "O"],
  "fractional_positions": [[0.000, 0.000, 0.000], [0.000, 0.000, 0.500], [0.128, 0.727, 0.286], [0.257, 0.440, 0.562], [0.427, 0.144, 0.857], [0.573, 0.856, 0.143], [0.743, 0.560, 0.438], [0.872, 0.273, 0.714], [0.129, 0.722, 0.784], [0.287, 0.428, 0.072], [0.433, 0.142, 0.363], [0.567, 0.858, 0.637], [0.713, 0.572, 0.928], [0.871, 0.278, 0.216], [0.021, 0.902, 0.388], [0.043, 0.846, 0.889], [0.164, 0.610, 0.678], [0.192, 0.556, 0.176], [0.351, 0.288, 0.455], [0.386, 0.298, 0.968], [0.470, 0.988, 0.745], [0.530, 0.012, 0.255], [0.614, 0.702, 0.032], [0.649, 0.712, 0.545], [0.808, 0.444, 0.824], [0.836, 0.390, 0.322], [0.957, 0.154, 0.111], [0.979, 0.098, 0.612]]
}

***

8.
{
  "formula": "Li5MnO5",
  "functional": "PBE with a Hubbard U",
  "state": "relaxed",
  "delta_e_f_ev_per_atom": -1.987,
  "space_group": "No. 1",
  "density_g_cm3": 2.76,
  "e_tot_ev_per_atom": -5.47,
  "lattice_angstrom": [[3.924, 0.000, 0.000], [-1.961, 4.758, 0.000], [0.000, -1.870, 5.472]],
  "species": ["Li", "Li", "Li", "Li", "Li", "Mn", "O", "O", "O", "O", "O"],
  "fractional_positions": [[0.000, 0.000, 0.000], [0.013, 0.034, 0.468], [0.381, 0.771, 0.197], [0.402, 0.805, 0.664], [0.695, 0.403, 0.832], [0.699, 0.402, 0.332], [0.199, 0.403, 0.332], [0.546, 0.094, 0.018], [0.556, 0.118, 0.504], [0.840, 0.687, 0.159], [0.854, 0.711, 0.645]]
}